1.
Li2MnP2O7, optimized geometry, DFT GGA+U; ΔE_f = -237 kJ per mole of atoms; symmetry = No. 14; polymorph energy (0 for the lowest one) = 217 meV/atom
1.0
11.3279 0.0000 0.0000
0.0000 9.9511 0.0000
-2.1694 0.0000 9.7687
Li Mn P O
16 8 16 56
Cartesian
0.1380 1.0734 0.8307
-0.9467 3.9021 5.7150
-0.9305 0.9032 6.3910
0.1541 4.0723 1.5066
4.8298 7.1565 1.0868
3.7452 7.7702 5.9712
3.2997 5.7811 8.0641
4.3843 9.1455 3.1797
4.7742 0.8055 6.5890
5.8589 4.1700 1.7046
5.4134 2.1809 3.7975
4.3287 2.7946 8.6819
9.0044 5.8788 8.2621
10.0891 9.0479 3.3777
10.1053 6.0489 4.0537
9.0206 8.8777 8.9380
1.4824 7.1011 2.4042
0.3977 7.8255 7.2885
1.9442 0.8028 7.7943
3.0289 4.1727 2.9100
6.1297 5.7784 6.8588
7.2143 9.1483 1.9744
8.7608 2.1256 2.4802
7.6761 2.8499 7.3645
0.3986 2.0186 3.7196
-0.6861 2.9569 8.6039
0.5784 5.4399 9.5129
1.6630 9.4868 4.6285
1.5584 5.6412 5.4636
2.6431 9.2854 0.5792
4.5840 1.4862 1.2058
3.4993 3.4893 6.0901
5.6592 6.4618 3.6786
4.5745 8.4649 8.5630
6.5154 0.6657 9.1895
7.6001 4.3098 4.3052
7.4955 0.4643 5.1402
8.5802 4.5112 0.2559
9.8446 6.9942 1.1648
8.7600 7.9325 6.0492
-0.5606 1.3160 2.7082
-1.6453 3.6596 7.5925
-0.2730 2.2179 5.0593
0.8117 2.7576 0.1749
0.0458 5.6091 5.5040
1.1305 9.3175 0.6196
-0.3185 6.3226 8.6317
0.7661 8.6040 3.7474
-0.0451 1.7158 7.9800
1.0395 3.2597 3.0956
2.1394 5.3172 1.1756
1.0547 9.6094 6.0600
1.6600 1.0113 3.9594
0.5754 3.9643 8.8437
2.1562 5.8466 4.0572
1.0715 9.0800 8.9415
3.1100 0.8029 1.0942
2.0253 4.1727 5.9786
2.1171 6.6678 6.4869
3.2018 8.2589 1.6025
2.0455 5.8404 9.5251
3.1301 9.0862 4.6407
3.2720 2.1112 6.7290
4.3566 2.8643 1.8446
2.9640 1.5936 9.5567
4.0487 3.3819 4.6724
4.8639 5.5919 2.6899
3.7792 9.3348 7.5743
5.3793 0.6163 2.1945
4.2947 4.3592 7.0788
5.1099 6.5692 5.0964
6.1946 8.3574 0.2120
4.8019 7.0868 7.9241
5.8866 7.8399 3.0397
6.0284 0.8649 5.1280
7.1131 4.1107 0.2437
5.9567 1.6922 8.1662
7.0414 3.2833 3.2818
7.1332 5.7784 3.7901
6.0486 9.1482 8.6745
8.0870 0.8711 0.8272
7.0024 4.1045 5.7116
8.5832 5.9868 0.9250
7.4985 8.9398 5.8094
8.1038 0.3417 3.7088
7.0191 4.6339 8.5931
8.1190 6.6914 6.6731
9.2037 8.2352 1.7888
8.3924 1.3471 6.0214
9.4771 3.6285 1.1370
8.0280 0.6336 9.1491
9.1127 4.3420 4.2647
8.3469 7.1935 9.5938
9.4315 7.7331 4.7094
10.8038 6.2915 2.1762
9.7192 8.6351 7.0606

***

2.
CaWO2, optimized geometry, DFT GGA+U; ΔE_f = -167 kJ per mole of atoms; symmetry = No. 12; polymorph energy (0 for the lowest one) = 222 meV/atom
1.0
9.2188 -1.6555 0.0000
9.2188 1.6555 0.0000
-4.0298 0.0000 9.1026
Ca W O
4 4 8
Cartesian
-0.7232 0.0000 2.0797
5.0513 0.0000 2.8261
9.3564 0.0000 6.2765
15.1310 0.0000 7.0229
2.0652 0.0000 3.2269
6.3515 0.0000 0.0335
8.0563 0.0000 9.0691
12.3426 0.0000 5.8757
-1.0392 0.0000 7.5379
3.0354 0.0000 1.3108
1.6781 0.0000 5.4042
4.5048 0.0000 6.2379
9.9030 0.0000 2.8647
12.7297 0.0000 3.6985
11.3724 0.0000 7.7918
15.4469 0.0000 1.5647

***

3.
Ca3MnS2O17, optimized geometry, DFT GGA+U; ΔE_f = -139 kJ per mole of atoms; symmetry = No. 40; polymorph energy (0 for the lowest one) = 0 meV/atom
1.0
10.0936 0.0000 0.0000
0.0000 7.6961 4.5363
0.0000 -7.6961 4.5363
Ca Mn S O
6 2 4 34
Cartesian
2.5234 -6.5709 4.5363
2.5234 -2.3026 2.0759
2.5234 1.3826 4.1044
7.5702 -1.3826 4.1044
7.5702 2.3026 2.0759
7.5702 6.5709 4.5363
0.0000 0.0000 1.6718
5.0468 0.0000 1.6718
0.2780 2.5839 6.6450
4.7689 2.5839 6.6450
5.3248 -2.5839 6.6450
9.8157 -2.5839 6.6450
0.7645 3.9310 6.1935
0.7975 1.5574 5.6907
0.8487 -5.3939 3.4685
1.0376 -0.4229 3.2693
1.1437 -0.8466 0.7012
1.1546 1.4060 2.0555
1.1766 -2.5587 6.7096
2.5234 -3.9721 4.1902
2.5234 0.1786 6.5264
2.5234 3.8672 4.6579
3.8702 -2.5587 6.7096
3.8922 1.4060 2.0555
3.9031 -0.8466 0.7012
4.0092 -0.4229 3.2693
4.1981 -5.3939 3.4685
4.2493 1.5574 5.6907
4.2823 3.9310 6.1935
5.8113 -3.9310 6.1935
5.8443 -1.5574 5.6907
5.8955 5.3939 3.4685
6.0844 0.4229 3.2693
6.1905 0.8466 0.7012
6.2014 -1.4060 2.0555
6.2234 2.5587 6.7096
7.5702 -3.8672 4.6579
7.5702 -0.1786 6.5264
7.5702 3.9721 4.1902
8.9171 2.5587 6.7096
8.9390 -1.4060 2.0555
8.9499 0.8466 0.7012
9.0560 0.4229 3.2693
9.2450 5.3939 3.4685
9.2961 -1.5574 5.6907
9.3291 -3.9310 6.1935